Entry 1:
Compound: MgSi
Source: the Materials Project
Functional: PBE-GGA
Structure: relaxed

```
data_MgSi
_chemical_formula_sum 'Mg6 Si6'
_symmetry_space_group_name_H-M 'P 1'
_symmetry_Int_Tables_number 1
_symmetry_space_group_name_Hall 'P 1'
_cell_length_a 4.310
_cell_length_b 5.439
_cell_length_c 9.505
_cell_angle_alpha 89.25
_cell_angle_beta 90.00
_cell_angle_gamma 90.00
loop_
_atom_site_label
_atom_site_type_symbol
_atom_site_fract_x
_atom_site_fract_y
_atom_site_fract_z
Mg1 Mg 0.750 0.410 0.763
Mg2 Mg 0.750 0.342 0.432
Mg3 Mg 0.750 0.106 0.121
Mg4 Mg 0.250 0.590 0.237
Mg5 Mg 0.250 0.894 0.879
Mg6 Mg 0.250 0.658 0.568
Si1 Si 0.250 0.161 0.597
Si2 Si 0.750 0.839 0.403
Si3 Si 0.250 0.389 0.958
Si4 Si 0.750 0.611 0.042
Si5 Si 0.250 0.074 0.336
Si6 Si 0.750 0.926 0.664
```

mass density: 2.3 g/cm³
electronic total energy: -41.04 eV for the cell shown

Entry 2:
Compound: SmUN2
Source: the Materials Project
Functional: PBE-GGA
Structure: relaxed

```
data_SmUN2
_chemical_formula_sum 'Sm1 U1 N2'
_symmetry_space_group_name_H-M 'P 1'
_symmetry_Int_Tables_number 1
_symmetry_space_group_name_Hall 'P 1'
_cell_length_a 3.512
_cell_length_b 3.512
_cell_length_c 4.929
_cell_angle_alpha 90.00
_cell_angle_beta 90.00
_cell_angle_gamma 90.00
loop_
_atom_site_label
_atom_site_type_symbol
_atom_site_fract_x
_atom_site_fract_y
_atom_site_fract_z
Sm1 Sm 0.000 0.000 0.500
N1 N 0.000 0.000 0.000
N2 N 0.500 0.500 0.500
U1 U 0.500 0.500 0.000
```

mass density: 11.4 g/cm³
electronic total energy: -38.11 eV for the cell shown

Entry 3:
Compound: ZnHg3
Source: the Materials Project
Functional: PBE-GGA
Structure: relaxed

```
data_ZnHg3
_chemical_formula_sum 'Zn1 Hg3'
_symmetry_space_group_name_H-M 'P 1'
_symmetry_Int_Tables_number 1
_symmetry_space_group_name_Hall 'P 1'
_cell_length_a 5.245
_cell_length_b 5.245
_cell_length_c 5.245
_cell_angle_alpha 60.00
_cell_angle_beta 60.00
_cell_angle_gamma 60.00
loop_
_atom_site_label
_atom_site_type_symbol
_atom_site_fract_x
_atom_site_fract_y
_atom_site_fract_z
Zn1 Zn 0.000 0.000 0.000
Hg1 Hg 0.500 0.500 0.500
Hg2 Hg 0.250 0.250 0.250
Hg3 Hg 0.750 0.750 0.750
```

mass density: 10.9 g/cm³
electronic total energy: -1.68 eV for the cell shown

Entry 4:
Compound: Na5Hf3MgSiP5O24
Source: the Materials Project
Functional: PBE-GGA
Structure: relaxed

```
data_Na5Hf3MgSiP5O24
_chemical_formula_sum 'Na15 Hf9 Mg3 Si3 P15 O72'
_symmetry_space_group_name_H-M 'P 1'
_symmetry_Int_Tables_number 1
_symmetry_space_group_name_Hall 'P 1'
_cell_length_a 9.009
_cell_length_b 8.968
_cell_length_c 22.716
_cell_angle_alpha 89.98
_cell_angle_beta 90.24
_cell_angle_gamma 119.85
loop_
_atom_site_label
_atom_site_type_symbol
_atom_site_fract_x
_atom_site_fract_y
_atom_site_fract_z
Mg1 Mg 0.668 0.335 0.179
Mg2 Mg 0.991 0.999 0.352
Mg3 Mg 0.666 0.332 0.679
O1 O 0.174 0.201 0.697
O2 O 0.847 0.534 0.033
O3 O 0.032 0.833 0.412
O4 O 0.829 0.021 0.090
O5 O 0.534 0.852 0.473
O6 O 0.473 0.317 0.745
O7 O 0.646 0.117 0.144
O8 O 0.171 0.969 0.200
O9 O 0.156 0.685 0.468
O10 O 0.530 0.692 0.972
O11 O 0.168 0.695 0.753
O12 O 0.208 0.185 0.806
O13 O 0.487 0.111 0.644
O14 O 0.527 0.694 0.257
O15 O 0.121 0.484 0.854
O16 O 0.821 0.814 0.589
O17 O 0.215 0.027 0.309
O18 O 0.788 0.972 0.693
O19 O 0.351 0.494 0.080
O20 O 0.035 0.190 0.910
O21 O 0.184 0.020 0.587
O22 O 0.308 0.833 0.257
O23 O 0.512 0.635 0.856
O24 O 0.525 0.838 0.755
O25 O 0.691 0.535 0.533
O26 O 0.179 0.188 0.413
O27 O 0.491 0.141 0.924
O28 O 0.843 0.528 0.745
O29 O 0.125 0.644 0.359
O30 O 0.474 0.352 0.142
O31 O 0.499 0.355 0.421
O32 O 0.359 0.849 0.575
O33 O 0.636 0.138 0.422
O34 O 0.032 0.208 0.197
O35 O 0.793 0.826 0.197
O36 O 0.823 0.791 0.305
O37 O 0.512 0.871 0.363
O38 O 0.862 0.505 0.422
O39 O 0.143 0.651 0.078
O40 O 0.167 0.471 0.970
O41 O 0.685 0.153 0.033
O42 O 0.319 0.467 0.469
O43 O 0.887 0.530 0.144
O44 O 0.359 0.879 0.859
O45 O 0.471 0.156 0.526
O46 O 0.627 0.484 0.924
O47 O 0.845 0.320 0.244
O48 O 0.963 0.164 0.590
O49 O 0.847 0.347 0.922
O50 O 0.141 0.487 0.576
O51 O 0.890 0.365 0.644
O52 O 0.681 0.525 0.244
O53 O 0.353 0.477 0.359
O54 O 0.460 0.312 0.029
O55 O 0.026 0.823 0.695
O56 O 0.818 0.830 0.912
O57 O 0.191 0.168 0.089
O58 O 0.309 0.845 0.969
O59 O 0.504 0.859 0.079
O60 O 0.507 0.651 0.577
O61 O 0.824 0.018 0.801
O62 O 0.177 0.985 0.909
O63 O 0.979 0.798 0.803
O64 O 0.306 0.475 0.753
O65 O 0.643 0.530 0.644
O66 O 0.970 0.178 0.305
O67 O 0.167 0.474 0.257
O68 O 0.978 0.810 0.090
O69 O 0.692 0.164 0.747
O70 O 0.839 0.309 0.534
O71 O 0.474 0.156 0.245
O72 O 0.805 0.978 0.414
P1 P 0.332 0.368 0.416
P2 P 0.707 0.001 0.748
P3 P 0.710 0.709 0.252
P4 P 0.373 0.332 0.085
P5 P 0.665 0.627 0.586
P6 P 0.963 0.628 0.087
P7 P 0.999 0.291 0.252
P8 P 0.630 0.961 0.418
P9 P 0.665 0.039 0.087
P10 P 0.334 0.960 0.917
P11 P 0.001 0.707 0.749
P12 P 0.293 0.001 0.254
P13 P 0.959 0.336 0.587
P14 P 0.038 0.668 0.415
P15 P 0.293 0.294 0.751
Hf1 Hf 0.328 0.661 0.519
Hf2 Hf 0.335 0.665 0.020
Hf3 Hf 0.000 0.001 0.146
Hf4 Hf 0.333 0.664 0.316
Hf5 Hf 0.668 0.338 0.482
Hf6 Hf 0.992 0.994 0.857
Hf7 Hf 0.010 0.001 0.643
Hf8 Hf 0.332 0.665 0.818
Hf9 Hf 0.676 0.336 0.983
Na1 Na 0.001 0.001 0.491
Na2 Na 0.682 0.338 0.839
Na3 Na 0.323 0.031 0.413
Na4 Na 0.681 0.346 0.330
Na5 Na 0.645 0.016 0.242
Na6 Na 0.984 0.629 0.243
Na7 Na 0.381 0.016 0.742
Na8 Na 0.332 0.308 0.924
Na9 Na 0.637 0.624 0.746
Na10 Na 0.322 0.662 0.660
Na11 Na 0.334 0.668 0.158
Na12 Na 0.981 0.988 0.003
Na13 Na 0.373 0.357 0.242
Na14 Na 0.987 0.363 0.747
Na15 Na 0.661 0.977 0.585
Si1 Si 0.627 0.664 0.917
Si2 Si 0.037 0.374 0.916
Si3 Si 0.375 0.040 0.584
```

mass density: 3.9 g/cm³
electronic total energy: -879.79 eV for the cell shown

Entry 5:
Compound: Y2Br2O
Source: the Materials Project
Functional: PBE-GGA
Structure: relaxed

```
data_Y2Br2O
_chemical_formula_sum 'Y2 Br2 O1'
_symmetry_space_group_name_H-M 'P 1'
_symmetry_Int_Tables_number 1
_symmetry_space_group_name_Hall 'P 1'
_cell_length_a 4.166
_cell_length_b 4.166
_cell_length_c 13.101
_cell_angle_alpha 90.00
_cell_angle_beta 90.00
_cell_angle_gamma 90.00
loop_
_atom_site_label
_atom_site_type_symbol
_atom_site_fract_x
_atom_site_fract_y
_atom_site_fract_z
Y1 Y 0.500 0.500 0.158
Y2 Y 0.500 0.500 0.842
Br1 Br 0.500 0.500 0.357
Br2 Br 0.500 0.500 0.643
O1 O 0.500 0.500 0.000
```

mass density: 2.6 g/cm³
electronic total energy: -27.13 eV for the cell shown

Entry 6:
Compound: Na2GeS3O7
Source: the Materials Project
Functional: PBE-GGA
Structure: relaxed

```
data_Na2GeS3O7
_chemical_formula_sum 'Na4 Ge2 S6 O14'
_symmetry_space_group_name_H-M 'P 1'
_symmetry_Int_Tables_number 1
_symmetry_space_group_name_Hall 'P 1'
_cell_length_a 6.827
_cell_length_b 7.310
_cell_length_c 9.655
_cell_angle_alpha 70.26
_cell_angle_beta 84.04
_cell_angle_gamma 85.92
loop_
_atom_site_label
_atom_site_type_symbol
_atom_site_fract_x
_atom_site_fract_y
_atom_site_fract_z
O1 O 0.821 0.257 0.827
O2 O 0.662 0.813 0.222
O3 O 0.396 0.833 0.529
O4 O 0.484 0.410 0.041
O5 O 0.412 0.628 0.576
O6 O 0.604 0.167 0.471
O7 O 0.913 0.425 0.731
O8 O 0.516 0.590 0.959
O9 O 0.040 0.817 0.468
O10 O 0.179 0.743 0.173
O11 O 0.588 0.372 0.424
O12 O 0.087 0.575 0.269
O13 O 0.960 0.183 0.532
O14 O 0.338 0.187 0.778
Na1 Na 0.791 0.612 0.439
Na2 Na 0.209 0.388 0.561
Na3 Na 0.529 0.426 0.789
Na4 Na 0.471 0.574 0.211
S1 S 0.785 0.056 0.574
S2 S 0.745 0.001 0.109
S3 S 0.255 0.999 0.891
S4 S 0.215 0.944 0.426
S5 S 0.974 0.416 0.100
S6 S 0.026 0.584 0.900
Ge1 Ge 0.899 0.983 0.871
Ge2 Ge 0.101 0.017 0.129
```

mass density: 2.4 g/cm³
electronic total energy: -122.34 eV for the cell shown

Entry 7:
Compound: Ba2Ca3Tl2Cu4O12
Source: the Materials Project
Functional: PBE-GGA
Structure: relaxed

```
data_Ba2Ca3Tl2Cu4O12
_chemical_formula_sum 'Ba2 Ca3 Tl2 Cu4 O12'
_symmetry_space_group_name_H-M 'P 1'
_symmetry_Int_Tables_number 1
_symmetry_space_group_name_Hall 'P 1'
_cell_length_a 21.799
_cell_length_b 21.799
_cell_length_c 21.799
_cell_angle_alpha 169.79
_cell_angle_beta 169.79
_cell_angle_gamma 14.47
loop_
_atom_site_label
_atom_site_type_symbol
_atom_site_fract_x
_atom_site_fract_y
_atom_site_fract_z
O1 O 0.463 0.963 0.500
O2 O 0.772 0.772 0.000
O3 O 0.037 0.537 0.500
O4 O 0.963 0.463 0.500
O5 O 0.611 0.111 0.500
O6 O 0.537 0.037 0.500
O7 O 0.889 0.389 0.500
O8 O 0.228 0.228 0.000
O9 O 0.323 0.323 0.000
O10 O 0.389 0.889 0.500
O11 O 0.677 0.677 0.000
O12 O 0.111 0.611 0.500
Ca1 Ca 0.925 0.925 0.000
Ca2 Ca 0.000 0.000 0.000
Ca3 Ca 0.075 0.075 0.000
Ba1 Ba 0.157 0.157 0.000
Ba2 Ba 0.843 0.843 0.000
Cu1 Cu 0.462 0.462 0.000
Cu2 Cu 0.538 0.538 0.000
Cu3 Cu 0.390 0.390 0.000
Cu4 Cu 0.610 0.610 0.000
Tl1 Tl 0.277 0.277 0.000
Tl2 Tl 0.723 0.723 0.000
```

mass density: 6.4 g/cm³
electronic total energy: -127.47 eV for the cell shown

Entry 8:
Compound: ZrNbP3O12
Source: the Materials Project
Functional: PBE-GGA
Structure: relaxed

```
data_ZrNbP3O12
_chemical_formula_sum 'Zr6 Nb6 P18 O72'
_symmetry_space_group_name_H-M 'P 1'
_symmetry_Int_Tables_number 1
_symmetry_space_group_name_Hall 'P 1'
_cell_length_a 8.902
_cell_length_b 8.902
_cell_length_c 22.795
_cell_angle_alpha 90.00
_cell_angle_beta 90.00
_cell_angle_gamma 120.00
loop_
_atom_site_label
_atom_site_type_symbol
_atom_site_fract_x
_atom_site_fract_y
_atom_site_fract_z
O1 O 0.173 0.705 0.760
O2 O 0.839 0.801 0.593
O3 O 0.800 0.963 0.695
O4 O 0.962 0.801 0.093
O5 O 0.830 0.533 0.029
O6 O 0.370 0.867 0.862
O7 O 0.128 0.646 0.074
O8 O 0.173 0.468 0.260
O9 O 0.687 0.148 0.740
O10 O 0.825 0.024 0.804
O11 O 0.185 0.980 0.907
O12 O 0.020 0.206 0.907
O13 O 0.163 0.963 0.195
O14 O 0.533 0.842 0.471
O15 O 0.037 0.200 0.195
O16 O 0.467 0.170 0.529
O17 O 0.467 0.297 0.029
O18 O 0.128 0.481 0.574
O19 O 0.866 0.509 0.137
O20 O 0.976 0.801 0.804
O21 O 0.976 0.175 0.304
O22 O 0.643 0.509 0.637
O23 O 0.309 0.842 0.971
O24 O 0.532 0.705 0.260
O25 O 0.199 0.024 0.304
O26 O 0.866 0.357 0.637
O27 O 0.163 0.200 0.695
O28 O 0.703 0.170 0.029
O29 O 0.852 0.313 0.240
O30 O 0.643 0.134 0.137
O31 O 0.370 0.503 0.362
O32 O 0.628 0.135 0.427
O33 O 0.491 0.357 0.137
O34 O 0.185 0.206 0.407
O35 O 0.794 0.980 0.407
O36 O 0.461 0.313 0.740
O37 O 0.865 0.494 0.427
O38 O 0.830 0.297 0.529
O39 O 0.020 0.815 0.407
O40 O 0.506 0.135 0.927
O41 O 0.199 0.038 0.593
O42 O 0.497 0.630 0.862
O43 O 0.687 0.539 0.240
O44 O 0.037 0.837 0.695
O45 O 0.491 0.134 0.637
O46 O 0.839 0.038 0.093
O47 O 0.309 0.467 0.471
O48 O 0.519 0.646 0.574
O49 O 0.354 0.481 0.074
O50 O 0.133 0.503 0.862
O51 O 0.295 0.827 0.260
O52 O 0.354 0.872 0.574
O53 O 0.794 0.815 0.907
O54 O 0.532 0.827 0.760
O55 O 0.199 0.161 0.093
O56 O 0.852 0.539 0.740
O57 O 0.628 0.494 0.927
O58 O 0.800 0.837 0.195
O59 O 0.506 0.372 0.427
O60 O 0.519 0.872 0.074
O61 O 0.199 0.175 0.804
O62 O 0.295 0.468 0.760
O63 O 0.133 0.630 0.362
O64 O 0.962 0.161 0.593
O65 O 0.497 0.867 0.362
O66 O 0.865 0.372 0.927
O67 O 0.158 0.691 0.471
O68 O 0.461 0.148 0.240
O69 O 0.825 0.801 0.304
O70 O 0.703 0.533 0.529
O71 O 0.158 0.467 0.971
O72 O 0.533 0.691 0.971
P1 P 0.007 0.287 0.250
P2 P 0.713 0.720 0.250
P3 P 0.340 0.387 0.417
P4 P 0.613 0.953 0.417
P5 P 0.280 0.287 0.750
P6 P 0.380 0.327 0.083
P7 P 0.380 0.053 0.583
P8 P 0.713 0.993 0.750
P9 P 0.613 0.660 0.917
P10 P 0.047 0.660 0.417
P11 P 0.673 0.620 0.583
P12 P 0.340 0.953 0.917
P13 P 0.047 0.387 0.917
P14 P 0.007 0.720 0.750
P15 P 0.947 0.620 0.083
P16 P 0.280 0.993 0.250
P17 P 0.947 0.327 0.583
P18 P 0.673 0.053 0.083
Zr1 Zr 0.667 0.333 0.192
Zr2 Zr 0.000 0.000 0.358
Zr3 Zr 0.000 0.000 0.858
Zr4 Zr 0.333 0.667 0.025
Zr5 Zr 0.667 0.333 0.692
Zr6 Zr 0.333 0.667 0.525
Nb1 Nb 0.000 0.000 0.143
Nb2 Nb 0.000 0.000 0.643
Nb3 Nb 0.333 0.667 0.310
Nb4 Nb 0.333 0.667 0.810
Nb5 Nb 0.667 0.333 0.476
Nb6 Nb 0.667 0.333 0.976
```

mass density: 3.0 g/cm³
electronic total energy: -826.73 eV for the cell shown

Entry 9:
Compound: Rb2ScAgCl6
Source: the Materials Project
Functional: PBE-GGA
Structure: relaxed

```
data_Rb2ScAgCl6
_chemical_formula_sum 'Rb2 Sc1 Ag1 Cl6'
_symmetry_space_group_name_H-M 'P 1'
_symmetry_Int_Tables_number 1
_symmetry_space_group_name_Hall 'P 1'
_cell_length_a 7.410
_cell_length_b 7.410
_cell_length_c 7.410
_cell_angle_alpha 60.00
_cell_angle_beta 60.00
_cell_angle_gamma 60.00
loop_
_atom_site_label
_atom_site_type_symbol
_atom_site_fract_x
_atom_site_fract_y
_atom_site_fract_z
Cl1 Cl 0.239 0.761 0.761
Cl2 Cl 0.761 0.239 0.761
Cl3 Cl 0.239 0.761 0.239
Cl4 Cl 0.761 0.239 0.239
Cl5 Cl 0.761 0.761 0.239
Cl6 Cl 0.239 0.239 0.761
Rb1 Rb 0.750 0.750 0.750
Rb2 Rb 0.250 0.250 0.250
Ag1 Ag 0.500 0.500 0.500
Sc1 Sc 0.000 0.000 0.000
```

mass density: 3.1 g/cm³
electronic total energy: -39.75 eV for the cell shown

Entry 10:
Compound: Mg2Al4Zn3
Source: the Materials Project
Functional: PBE-GGA
Structure: relaxed

```
data_Mg2Al4Zn3
_chemical_formula_sum 'Mg4 Al8 Zn6'
_symmetry_space_group_name_H-M 'P 1'
_symmetry_Int_Tables_number 1
_symmetry_space_group_name_Hall 'P 1'
_cell_length_a 4.984
_cell_length_b 4.984
_cell_length_c 14.867
_cell_angle_alpha 90.00
_cell_angle_beta 90.00
_cell_angle_gamma 120.08
loop_
_atom_site_label
_atom_site_type_symbol
_atom_site_fract_x
_atom_site_fract_y
_atom_site_fract_z
Zn1 Zn 0.336 0.168 0.750
Zn2 Zn 0.168 0.832 0.250
Zn3 Zn 0.832 0.664 0.750
Zn4 Zn 0.168 0.336 0.250
Zn5 Zn 0.832 0.168 0.750
Zn6 Zn 0.664 0.832 0.250
Al1 Al 0.667 0.333 0.939
Al2 Al 0.667 0.333 0.561
Al3 Al 0.000 0.000 0.912
Al4 Al 0.000 0.000 0.088
Al5 Al 0.333 0.667 0.061
Al6 Al 0.333 0.667 0.439
Al7 Al 0.000 0.000 0.412
Al8 Al 0.000 0.000 0.588
Mg1 Mg 0.333 0.667 0.858
Mg2 Mg 0.667 0.333 0.358
Mg3 Mg 0.667 0.333 0.142
Mg4 Mg 0.333 0.667 0.642
```

mass density: 3.7 g/cm³
electronic total energy: -43.29 eV for the cell shown

Entry 11:
Compound: Eu4Bi3
Source: the Materials Project
Functional: PBE-GGA
Structure: relaxed

```
data_Eu4Bi3
_chemical_formula_sum 'Eu8 Bi6'
_symmetry_space_group_name_H-M 'P 1'
_symmetry_Int_Tables_number 1
_symmetry_space_group_name_Hall 'P 1'
_cell_length_a 8.634
_cell_length_b 8.634
_cell_length_c 8.634
_cell_angle_alpha 109.47
_cell_angle_beta 109.47
_cell_angle_gamma 109.47
loop_
_atom_site_label
_atom_site_type_symbol
_atom_site_fract_x
_atom_site_fract_y
_atom_site_fract_z
Eu1 Eu 0.500 0.000 0.647
Eu2 Eu 0.147 0.500 0.000
Eu3 Eu 0.647 0.500 0.000
Eu4 Eu 0.853 0.853 0.853
Eu5 Eu 0.000 0.647 0.500
Eu6 Eu 0.353 0.353 0.353
Eu7 Eu 0.000 0.147 0.500
Eu8 Eu 0.500 0.000 0.147
Bi1 Bi 0.875 0.250 0.125
Bi2 Bi 0.625 0.750 0.375
Bi3 Bi 0.125 0.875 0.250
Bi4 Bi 0.750 0.375 0.625
Bi5 Bi 0.375 0.625 0.750
Bi6 Bi 0.250 0.125 0.875
```

mass density: 8.3 g/cm³
electronic total energy: -118.21 eV for the cell shown

Number 1: energy of formation 0.13 eV per atom. Number 2: energy of formation -1.54 eV per atom. Number 3: energy of formation 0.12 eV per atom. Number 4: energy of formation -3.09 eV per atom. Number 5: energy of formation -1.33 eV per atom. Number 6: energy of formation -0.61 eV per atom. Number 7: energy of formation -1.97 eV per atom. Number 8: energy of formation -3.05 eV per atom. Number 9: energy of formation -2.12 eV per atom. Number 10: energy of formation 0.03 eV per atom. Number 11: energy of formation -0.92 eV per atom.